Record 1
First-principles (meta-GGA r2SCAN) data for Na2LiSmCl6 after structural relaxation, as listed in the Materials Project database.

Formation energy   -20.742 eV/f.u.
Total moment   0.00 μB/cell
SG   Fm-3m, No. 225

Lattice parameters (Å, degrees): 7.273 7.273 7.273 60.00 60.00 60.00
Fractional positions:
Na1 0.250 0.250 0.250
Na2 0.750 0.750 0.750
Li1 0.000 0.000 0.000
Sm1 0.500 0.500 0.500
Cl1 0.242 0.242 0.758
Cl2 0.242 0.758 0.242
Cl3 0.242 0.758 0.758
Cl4 0.758 0.242 0.242
Cl5 0.758 0.242 0.758
Cl6 0.758 0.758 0.242



Record 2
First-principles (meta-GGA r2SCAN) data for LiNb6Cl19 after structural relaxation, as listed in the Materials Project database.

Formation energy   -39.201 eV/f.u.
Total moment   0.00 μB/cell
SG   Pmma, No. 51

Lattice parameters (Å, degrees): 28.282 6.842 6.693 90.00 90.00 90.00
Fractional positions:
Li1 0.000 0.000 0.000
Li2 0.500 0.000 0.000
Nb1 0.106 0.288 0.156
Nb2 0.106 0.712 0.156
Nb3 0.189 0.500 0.281
Nb4 0.311 0.500 0.281
Nb5 0.394 0.288 0.156
Nb6 0.394 0.712 0.156
Nb7 0.606 0.288 0.844
Nb8 0.606 0.712 0.844
Nb9 0.689 0.500 0.719
Nb10 0.811 0.500 0.719
Nb11 0.894 0.288 0.844
Nb12 0.894 0.712 0.844
Cl1 0.050 0.500 0.329
Cl2 0.056 0.000 0.301
Cl3 0.056 0.253 0.868
Cl4 0.056 0.747 0.868
Cl5 0.150 0.249 0.471
Cl6 0.150 0.751 0.471
Cl7 0.154 0.000 0.023
Cl8 0.155 0.500 0.942
Cl9 0.250 0.264 0.140
Cl10 0.250 0.500 0.566
Cl11 0.250 0.736 0.140
Cl12 0.345 0.500 0.942
Cl13 0.346 0.000 0.023
Cl14 0.350 0.249 0.471
Cl15 0.350 0.751 0.471
Cl16 0.444 0.000 0.301
Cl17 0.444 0.253 0.868
Cl18 0.444 0.747 0.868
Cl19 0.450 0.500 0.329
Cl20 0.550 0.500 0.671
Cl21 0.556 0.000 0.699
Cl22 0.556 0.253 0.132
Cl23 0.556 0.747 0.132
Cl24 0.650 0.249 0.529
Cl25 0.650 0.751 0.529
Cl26 0.654 0.000 0.977
Cl27 0.655 0.500 0.058
Cl28 0.750 0.264 0.860
Cl29 0.750 0.500 0.434
Cl30 0.750 0.736 0.860
Cl31 0.845 0.500 0.058
Cl32 0.846 0.000 0.977
Cl33 0.850 0.249 0.529
Cl34 0.850 0.751 0.529
Cl35 0.944 0.000 0.699
Cl36 0.944 0.253 0.132
Cl37 0.944 0.747 0.132
Cl38 0.950 0.500 0.671



Record 3
First-principles (meta-GGA r2SCAN) data for LiNb3Cl8 after structural relaxation, as listed in the Materials Project database.

Formation energy   -18.259 eV/f.u.
Total moment   0.00 μB/cell
SG   Cmce, No. 64

Lattice parameters (Å, degrees): 9.272 9.272 13.514 90.00 90.00 91.72
Fractional positions:
Li1 0.080 0.920 0.913
Li2 0.420 0.580 0.413
Li3 0.580 0.420 0.587
Li4 0.920 0.080 0.087
Nb1 0.091 0.909 0.623
Nb2 0.125 0.875 0.410
Nb3 0.161 0.161 0.500
Nb4 0.339 0.339 0.000
Nb5 0.375 0.625 0.910
Nb6 0.409 0.591 0.123
Nb7 0.591 0.409 0.877
Nb8 0.625 0.375 0.090
Nb9 0.661 0.661 0.000
Nb10 0.839 0.839 0.500
Nb11 0.875 0.125 0.590
Nb12 0.909 0.091 0.377
Cl1 0.041 0.336 0.608
Cl2 0.041 0.959 0.246
Cl3 0.078 0.298 0.356
Cl4 0.134 0.134 0.000
Cl5 0.164 0.459 0.892
Cl6 0.202 0.422 0.144
Cl7 0.206 0.794 0.793
Cl8 0.243 0.757 0.040
Cl9 0.257 0.743 0.540
Cl10 0.294 0.706 0.293
Cl11 0.298 0.078 0.644
Cl12 0.336 0.041 0.392
Cl13 0.366 0.366 0.500
Cl14 0.422 0.202 0.856
Cl15 0.459 0.164 0.108
Cl16 0.459 0.541 0.746
Cl17 0.541 0.459 0.254
Cl18 0.541 0.836 0.892
Cl19 0.578 0.798 0.144
Cl20 0.634 0.634 0.500
Cl21 0.664 0.959 0.608
Cl22 0.702 0.922 0.356
Cl23 0.706 0.294 0.707
Cl24 0.743 0.257 0.460
Cl25 0.757 0.243 0.960
Cl26 0.794 0.206 0.207
Cl27 0.798 0.578 0.856
Cl28 0.836 0.541 0.108
Cl29 0.866 0.866 0.000
Cl30 0.922 0.702 0.644
Cl31 0.959 0.041 0.754
Cl32 0.959 0.664 0.392



Record 4
First-principles (meta-GGA r2SCAN) data for Li6NiCl8 after structural relaxation, as listed in the Materials Project database.

Formation energy   -27.262 eV/f.u.
Total moment   2.00 μB/cell
SG   Fm-3m, No. 225

Lattice parameters (Å, degrees): 7.176 7.176 7.176 60.00 60.00 60.00
Fractional positions:
Li1 0.000 0.000 0.500
Li2 0.000 0.500 0.000
Li3 0.000 0.500 0.500
Li4 0.500 0.000 0.000
Li5 0.500 0.000 0.500
Li6 0.500 0.500 0.000
Ni1 0.000 0.000 0.000
Cl1 0.238 0.238 0.762
Cl2 0.238 0.762 0.238
Cl3 0.238 0.762 0.762
Cl4 0.250 0.250 0.250
Cl5 0.750 0.750 0.750
Cl6 0.762 0.238 0.238
Cl7 0.762 0.238 0.762
Cl8 0.762 0.762 0.238



Please write out number 4 again, unchanged.
First-principles (meta-GGA r2SCAN) data for Li6NiCl8 after structural relaxation, as listed in the Materials Project database.

Formation energy   -27.262 eV/f.u.
Total moment   2.00 μB/cell
SG   Fm-3m, No. 225

Lattice parameters (Å, degrees): 7.176 7.176 7.176 60.00 60.00 60.00
Fractional positions:
Li1 0.000 0.000 0.500
Li2 0.000 0.500 0.000
Li3 0.000 0.500 0.500
Li4 0.500 0.000 0.000
Li5 0.500 0.000 0.500
Li6 0.500 0.500 0.000
Ni1 0.000 0.000 0.000
Cl1 0.238 0.238 0.762
Cl2 0.238 0.762 0.238
Cl3 0.238 0.762 0.762
Cl4 0.250 0.250 0.250
Cl5 0.750 0.750 0.750
Cl6 0.762 0.238 0.238
Cl7 0.762 0.238 0.762
Cl8 0.762 0.762 0.238



Which value of total moment does entry 4 give? 2.00 μB/cell